1.
A plane-wave DFT calculation with r²SCAN was carried out for a relaxed Al4Ge2W3 crystal.

a = 4.825 Å, b = 4.825 Å, c = 6.691 Å
α = 90.10°, β = 90.10°, γ = 120.03°
Atoms (fractional coordinates):
1 Al 0.000 0.000 0.000
2 Al 0.468 0.005 0.669
3 Al 0.667 0.333 0.000
4 Al 0.995 0.532 0.331
5 Ge 0.122 0.335 0.671
6 Ge 0.665 0.878 0.329
7 W 0.334 0.666 0.000
8 W 0.335 0.212 0.341
9 W 0.788 0.665 0.659

Calculated values
The symmetry is C2, No. 5. The value obtained for the size of the total moment is 0.0 μB/cell. Its uncorrected energy is -23.29 eV/atom. As for the crystal system: monoclinic.



2.
A plane-wave DFT calculation with r²SCAN was carried out for a relaxed Dy2Au crystal.

a = 7.077 Å, b = 4.951 Å, c = 8.873 Å
α = 90.00°, β = 90.00°, γ = 90.00°
Atoms (fractional coordinates):
1 Dy 0.011 0.250 0.175
2 Dy 0.149 0.250 0.584
3 Dy 0.351 0.750 0.084
4 Dy 0.489 0.750 0.675
5 Dy 0.511 0.250 0.325
6 Dy 0.649 0.250 0.916
7 Dy 0.851 0.750 0.416
8 Dy 0.989 0.750 0.825
9 Au 0.242 0.250 0.905
10 Au 0.258 0.750 0.405
11 Au 0.742 0.250 0.595
12 Au 0.758 0.750 0.095

Calculated values
The symmetry is Pnma, No. 62. The value obtained for the size of the total moment is 0.0 μB/cell. Its uncorrected energy is -38.92 eV/atom. As for the crystal system: orthorhombic.



3.
A plane-wave DFT calculation with r²SCAN was carried out for a relaxed ZrHg3 crystal.

a = 6.390 Å, b = 6.390 Å, c = 4.838 Å
α = 90.00°, β = 90.00°, γ = 120.00°
Atoms (fractional coordinates):
1 Zr 0.333 0.667 0.250
2 Zr 0.667 0.333 0.750
3 Hg 0.169 0.338 0.750
4 Hg 0.169 0.831 0.750
5 Hg 0.338 0.169 0.250
6 Hg 0.662 0.831 0.750
7 Hg 0.831 0.169 0.250
8 Hg 0.831 0.662 0.250

Calculated values
The symmetry is P6_3/mmc, No. 194. The value obtained for the size of the total moment is 0.0 μB/cell. Its uncorrected energy is -42.80 eV/atom. As for the crystal system: hexagonal.



4.
A plane-wave DFT calculation with r²SCAN was carried out for a relaxed PrErZn2 crystal.

a = 7.218 Å, b = 7.218 Å, c = 7.218 Å
α = 90.00°, β = 90.00°, γ = 90.00°
Atoms (fractional coordinates):
1 Pr 0.000 0.000 0.000
2 Pr 0.000 0.500 0.500
3 Pr 0.500 0.000 0.500
4 Pr 0.500 0.500 0.000
5 Er 0.000 0.000 0.500
6 Er 0.000 0.500 0.000
7 Er 0.500 0.000 0.000
8 Er 0.500 0.500 0.500
9 Zn 0.250 0.250 0.250
10 Zn 0.250 0.250 0.750
11 Zn 0.250 0.750 0.250
12 Zn 0.250 0.750 0.750
13 Zn 0.750 0.250 0.250
14 Zn 0.750 0.250 0.750
15 Zn 0.750 0.750 0.250
16 Zn 0.750 0.750 0.750

Calculated values
The symmetry is Fm-3m, No. 225. The value obtained for the size of the total moment is 0.0 μB/cell. Its uncorrected energy is -20.62 eV/atom. As for the crystal system: cubic.



5.
A plane-wave DFT calculation with r²SCAN was carried out for a relaxed Lu5Rh3 crystal.

a = 8.071 Å, b = 8.071 Å, c = 6.088 Å
α = 90.00°, β = 90.00°, γ = 120.00°
Atoms (fractional coordinates):
1 Lu 0.000 0.257 0.250
2 Lu 0.000 0.743 0.750
3 Lu 0.257 0.000 0.250
4 Lu 0.257 0.257 0.750
5 Lu 0.333 0.667 0.000
6 Lu 0.333 0.667 0.500
7 Lu 0.667 0.333 0.000
8 Lu 0.667 0.333 0.500
9 Lu 0.743 0.000 0.750
10 Lu 0.743 0.743 0.250
11 Rh 0.000 0.394 0.750
12 Rh 0.000 0.606 0.250
13 Rh 0.394 0.000 0.750
14 Rh 0.394 0.394 0.250
15 Rh 0.606 0.000 0.250
16 Rh 0.606 0.606 0.750

Calculated values
The symmetry is P6_3/mcm, No. 193. The value obtained for the size of the total moment is 0.0 μB/cell. Its uncorrected energy is -33.71 eV/atom. As for the crystal system: hexagonal.



6.
A plane-wave DFT calculation with r²SCAN was carried out for a relaxed KNaSnF6 crystal.

a = 11.704 Å, b = 5.978 Å, c = 8.083 Å
α = 90.00°, β = 90.00°, γ = 90.00°
Atoms (fractional coordinates):
1 K 0.043 0.038 0.000
2 K 0.457 0.538 0.500
3 K 0.543 0.462 0.000
4 K 0.957 0.962 0.500
5 Na 0.148 0.555 0.247
6 Na 0.352 0.055 0.747
7 Na 0.648 0.945 0.247
8 Na 0.852 0.445 0.747
9 Sn 0.137 0.550 0.745
10 Sn 0.363 0.050 0.245
11 Sn 0.637 0.950 0.745
12 Sn 0.863 0.450 0.245
13 F 0.011 0.289 0.283
14 F 0.041 0.280 0.703
15 F 0.126 0.649 0.513
16 F 0.141 0.451 0.979
17 F 0.210 0.834 0.809
18 F 0.217 0.898 0.198
19 F 0.283 0.398 0.698
20 F 0.290 0.334 0.309
21 F 0.359 0.951 0.479
22 F 0.374 0.149 0.013
23 F 0.459 0.780 0.203
24 F 0.489 0.789 0.783
25 F 0.511 0.211 0.283
26 F 0.541 0.220 0.703
27 F 0.626 0.851 0.513
28 F 0.641 0.049 0.979
29 F 0.710 0.666 0.809
30 F 0.717 0.602 0.198
31 F 0.783 0.102 0.698
32 F 0.790 0.166 0.309
33 F 0.859 0.549 0.479
34 F 0.874 0.351 0.013
35 F 0.959 0.720 0.203
36 F 0.989 0.711 0.783

Calculated values
The symmetry is Pna2_1, No. 33. The value obtained for the size of the total moment is 0.0 μB/cell. Its uncorrected energy is -8.84 eV/atom. As for the crystal system: orthorhombic.



7.
A plane-wave DFT calculation with r²SCAN was carried out for a relaxed Ti4O7 crystal.

a = 5.594 Å, b = 7.123 Å, c = 12.505 Å
α = 95.14°, β = 95.56°, γ = 108.81°
Atoms (fractional coordinates):
1 O 0.588 0.294 0.558
2 O 0.854 0.997 0.583
3 O 0.412 0.706 0.442
4 O 0.036 0.569 0.698
5 O 0.295 0.790 0.223
6 O 0.146 0.003 0.417
7 O 0.890 0.638 0.484
8 O 0.328 0.938 0.639
9 O 0.672 0.062 0.361
10 O 0.328 0.438 0.139
11 O 0.672 0.562 0.861
12 O 0.110 0.862 0.016
13 O 0.412 0.206 0.942
14 O 0.526 0.145 0.164
15 O 0.854 0.497 0.083
16 O 0.474 0.355 0.336
17 O 0.110 0.362 0.516
18 O 0.588 0.794 0.058
19 O 0.474 0.855 0.836
20 O 0.705 0.210 0.777
21 O 0.964 0.931 0.802
22 O 0.295 0.290 0.723
23 O 0.964 0.431 0.302
24 O 0.890 0.138 0.984
25 O 0.705 0.710 0.277
26 O 0.146 0.503 0.917
27 O 0.036 0.069 0.198
28 O 0.526 0.645 0.664
29 Ti 0.784 0.348 0.439
30 Ti 0.682 0.938 0.702
31 Ti 0.312 0.560 0.299
32 Ti 0.318 0.062 0.298
33 Ti 0.216 0.652 0.561
34 Ti 0.318 0.561 0.798
35 Ti 0.786 0.852 0.435
36 Ti 0.216 0.152 0.061
37 Ti 0.312 0.060 0.798
38 Ti 0.786 0.352 0.935
39 Ti 0.784 0.848 0.939
40 Ti 0.214 0.648 0.065
41 Ti 0.688 0.940 0.202
42 Ti 0.688 0.440 0.701
43 Ti 0.214 0.148 0.565
44 Ti 0.682 0.439 0.202

Calculated values
The value obtained for the size of the total moment is 3.8 μB/cell. Its uncorrected energy is -11.76 eV/atom.



8.
A plane-wave DFT calculation with r²SCAN was carried out for a relaxed YVO4 crystal.

a = 5.947 Å, b = 5.947 Å, c = 5.947 Å
α = 106.28°, β = 106.28°, γ = 116.07°
Atoms (fractional coordinates):
1 Y 0.375 0.625 0.750
2 Y 0.625 0.375 0.250
3 V 0.125 0.875 0.250
4 V 0.875 0.125 0.750
5 O 0.135 0.700 0.435
6 O 0.234 0.300 0.935
7 O 0.300 0.234 0.435
8 O 0.300 0.865 0.065
9 O 0.700 0.135 0.935
10 O 0.700 0.766 0.565
11 O 0.766 0.700 0.065
12 O 0.865 0.300 0.565

Calculated values
The symmetry is I4_1/amd, No. 141. The value obtained for the size of the total moment is 0.0 μB/cell. Its uncorrected energy is -12.99 eV/atom. As for the crystal system: tetragonal.



9.
A plane-wave DFT calculation with r²SCAN was carried out for a relaxed Nd2Si3Pd crystal.

a = 8.238 Å, b = 8.238 Å, c = 8.554 Å
α = 90.00°, β = 90.00°, γ = 120.00°
Atoms (fractional coordinates):
1 Nd 0.000 0.000 0.250
2 Nd 0.000 0.000 0.750
3 Nd 0.001 0.500 0.250
4 Nd 0.500 0.001 0.750
5 Nd 0.500 0.500 0.250
6 Nd 0.500 0.500 0.750
7 Nd 0.500 0.999 0.250
8 Nd 0.999 0.500 0.750
9 Si 0.166 0.332 0.000
10 Si 0.166 0.332 0.500
11 Si 0.166 0.834 0.000
12 Si 0.166 0.834 0.500
13 Si 0.332 0.166 0.000
14 Si 0.332 0.166 0.500
15 Si 0.668 0.834 0.000
16 Si 0.668 0.834 0.500
17 Si 0.834 0.166 0.000
18 Si 0.834 0.166 0.500
19 Si 0.834 0.668 0.000
20 Si 0.834 0.668 0.500
21 Pd 0.333 0.667 0.501
22 Pd 0.333 0.667 0.999
23 Pd 0.667 0.333 0.001
24 Pd 0.667 0.333 0.499

Calculated values
The symmetry is P6_3/mmc, No. 194. The value obtained for the size of the total moment is 0.0 μB/cell. Its uncorrected energy is -18.99 eV/atom. As for the crystal system: hexagonal.



10.
A plane-wave DFT calculation with r²SCAN was carried out for a relaxed TaFeP crystal.

a = 6.085 Å, b = 3.567 Å, c = 6.877 Å
α = 90.00°, β = 90.00°, γ = 90.00°
Atoms (fractional coordinates):
1 Ta 0.021 0.250 0.177
2 Ta 0.479 0.750 0.677
3 Ta 0.521 0.250 0.323
4 Ta 0.979 0.750 0.823
5 Fe 0.141 0.250 0.564
6 Fe 0.359 0.750 0.064
7 Fe 0.641 0.250 0.936
8 Fe 0.859 0.750 0.436
9 P 0.222 0.750 0.382
10 P 0.278 0.250 0.882
11 P 0.722 0.750 0.118
12 P 0.778 0.250 0.618

Calculated values
The symmetry is Pnma, No. 62. The value obtained for the size of the total moment is 0.0 μB/cell. Its uncorrected energy is -24.71 eV/atom. As for the crystal system: orthorhombic.



11.
A plane-wave DFT calculation with r²SCAN was carried out for a relaxed TmCuGe crystal.

a = 4.162 Å, b = 4.162 Å, c = 7.276 Å
α = 90.00°, β = 90.00°, γ = 120.00°
Atoms (fractional coordinates):
1 Tm 0.000 0.000 0.000
2 Tm 0.000 0.000 0.500
3 Cu 0.333 0.667 0.250
4 Cu 0.667 0.333 0.750
5 Ge 0.333 0.667 0.750
6 Ge 0.667 0.333 0.250

Calculated values
The symmetry is P6_3/mmc, No. 194. The value obtained for the size of the total moment is 0.0 μB/cell. Its uncorrected energy is -20.69 eV/atom. As for the crystal system: hexagonal.



12.
A plane-wave DFT calculation with r²SCAN was carried out for a relaxed Mg5Zn crystal.

a = 5.898 Å, b = 5.898 Å, c = 5.898 Å
α = 53.82°, β = 53.82°, γ = 53.82°
Atoms (fractional coordinates):
1 Mg 0.000 0.660 0.340
2 Mg 0.167 0.167 0.167
3 Mg 0.340 0.000 0.660
4 Mg 0.660 0.340 0.000
5 Mg 0.833 0.833 0.833
6 Zn 0.500 0.500 0.500

Calculated values
The symmetry is R32, No. 155. The value obtained for the size of the total moment is 0.0 μB/cell. Its uncorrected energy is -4.95 eV/atom. As for the crystal system: trigonal.



13.
A plane-wave DFT calculation with r²SCAN was carried out for a relaxed NpSn3 crystal.

a = 4.698 Å, b = 4.698 Å, c = 4.698 Å
α = 90.00°, β = 90.00°, γ = 90.00°
Atoms (fractional coordinates):
1 Np 0.000 0.000 0.000
2 Sn 0.000 0.500 0.500
3 Sn 0.500 0.000 0.500
4 Sn 0.500 0.500 0.000

Calculated values
The symmetry is Pm-3m, No. 221. The value obtained for the size of the total moment is 3.7 μB/cell. Its uncorrected energy is -39.64 eV/atom. As for the crystal system: cubic.



14.
A plane-wave DFT calculation with r²SCAN was carried out for a relaxed BaSiAu crystal.

a = 4.322 Å, b = 4.322 Å, c = 5.070 Å
α = 90.00°, β = 90.00°, γ = 120.00°
Atoms (fractional coordinates):
1 Ba 0.000 0.000 0.000
2 Si 0.667 0.333 0.500
3 Au 0.333 0.667 0.500

Calculated values
The symmetry is P-6m2, No. 187. The value obtained for the size of the total moment is 0.0 μB/cell. Its uncorrected energy is -29.25 eV/atom. As for the crystal system: hexagonal.



15.
A plane-wave DFT calculation with r²SCAN was carried out for a relaxed PtF4 crystal.

a = 5.569 Å, b = 5.444 Å, c = 6.679 Å
α = 53.52°, β = 51.83°, γ = 74.65°
Atoms (fractional coordinates):
1 Pt 0.000 0.000 0.000
2 Pt 0.250 0.250 0.250
3 F 0.227 0.298 0.945
4 F 0.227 0.818 0.441
5 F 0.298 0.227 0.530
6 F 0.305 0.720 0.023
7 F 0.720 0.305 0.952
8 F 0.736 0.809 0.432
9 F 0.809 0.736 0.023
10 F 0.818 0.227 0.514

Calculated values
The symmetry is Fdd2, No. 43. The value obtained for the size of the total moment is 0.0 μB/cell. Its uncorrected energy is -14.17 eV/atom. As for the crystal system: orthorhombic.



16.
A plane-wave DFT calculation with r²SCAN was carried out for a relaxed ErMg5 crystal.

a = 12.139 Å, b = 3.240 Å, c = 7.677 Å
α = 90.00°, β = 106.07°, γ = 90.00°
Atoms (fractional coordinates):
1 Er 0.000 0.000 0.000
2 Er 0.500 0.500 0.000
3 Mg 0.126 0.500 0.734
4 Mg 0.174 0.500 0.349
5 Mg 0.280 0.000 0.076
6 Mg 0.335 0.000 0.664
7 Mg 0.455 0.500 0.405
8 Mg 0.626 0.000 0.734
9 Mg 0.674 0.000 0.349
10 Mg 0.780 0.500 0.076
11 Mg 0.835 0.500 0.664
12 Mg 0.955 0.000 0.405

Calculated values
The symmetry is Cm, No. 8. The value obtained for the size of the total moment is 0.0 μB/cell. Its uncorrected energy is -9.11 eV/atom. As for the crystal system: monoclinic.



17.
A plane-wave DFT calculation with r²SCAN was carried out for a relaxed DyYAg2 crystal.

a = 7.231 Å, b = 7.231 Å, c = 7.231 Å
α = 90.00°, β = 90.00°, γ = 90.00°
Atoms (fractional coordinates):
1 Dy 0.000 0.000 0.000
2 Dy 0.000 0.500 0.500
3 Dy 0.500 0.000 0.500
4 Dy 0.500 0.500 0.000
5 Y 0.000 0.000 0.500
6 Y 0.000 0.500 0.000
7 Y 0.500 0.000 0.000
8 Y 0.500 0.500 0.500
9 Ag 0.250 0.250 0.250
10 Ag 0.250 0.250 0.750
11 Ag 0.250 0.750 0.250
12 Ag 0.250 0.750 0.750
13 Ag 0.750 0.250 0.250
14 Ag 0.750 0.250 0.750
15 Ag 0.750 0.750 0.250
16 Ag 0.750 0.750 0.750

Calculated values
The symmetry is Fm-3m, No. 225. The value obtained for the size of the total moment is 0.0 μB/cell. Its uncorrected energy is -24.09 eV/atom. As for the crystal system: cubic.



18.
A plane-wave DFT calculation with r²SCAN was carried out for a relaxed Er20Si12C crystal.

a = 6.295 Å, b = 14.428 Å, c = 8.331 Å
α = 90.00°, β = 90.04°, γ = 90.00°
Atoms (fractional coordinates):
1 Er 0.000 0.163 0.000
2 Er 0.000 0.329 0.500
3 Er 0.000 0.671 0.500
4 Er 0.000 0.837 0.000
5 Er 0.227 0.500 0.766
6 Er 0.228 0.383 0.118
7 Er 0.228 0.617 0.118
8 Er 0.252 0.121 0.621
9 Er 0.252 0.879 0.621
10 Er 0.253 0.000 0.258
11 Er 0.500 0.170 0.000
12 Er 0.500 0.337 0.500
13 Er 0.500 0.663 0.500
14 Er 0.500 0.830 0.000
15 Er 0.747 0.000 0.742
16 Er 0.748 0.121 0.379
17 Er 0.748 0.879 0.379
18 Er 0.772 0.383 0.882
19 Er 0.772 0.617 0.882
20 Er 0.773 0.500 0.234
21 Si 0.238 0.500 0.399
22 Si 0.245 0.300 0.801
23 Si 0.245 0.700 0.801
24 Si 0.253 0.197 0.303
25 Si 0.253 0.803 0.303
26 Si 0.257 0.000 0.895
27 Si 0.743 0.000 0.105
28 Si 0.747 0.197 0.697
29 Si 0.747 0.803 0.697
30 Si 0.755 0.300 0.199
31 Si 0.755 0.700 0.199
32 Si 0.762 0.500 0.601
33 C 0.000 0.500 0.000

Calculated values
The symmetry is P2/m, No. 10. The value obtained for the size of the total moment is 0.0 μB/cell. Its uncorrected energy is -24.84 eV/atom. As for the crystal system: monoclinic.



Calculated energy relative to the elements in order - -0.83; -2.21; -0.34; -1.32; -6.85; -26.45; -35.78; -19.67; -5.83; -2.12; -2.24; 0.08; -1.28; -1.90; -6.88; 0.14; -1.34; -25.99 eV per formula unit